# 1
The following is a GGA-PBE calculation of Ga8Pb9O21 after structural relaxation, from Materials Project.

Values from the calculation:
As for the energy: -5.782 eV/atom. For the energy of formation, the calculation gives -72.58 eV/f.u. The energy with MP2020 corrections is -936.515 eV for the cell shown.

a b c (Å): 13.6769 13.6769 13.6769
angles (deg): 90.00 90.00 90.00
Last column: nearest neighbours and their distance in Å.
Element x y z (fractional)
Ga (0.2186, 0.4529, 0.1061)  4 O 1.85-1.88
Ga (0.1061, 0.2186, 0.4529)  4 O 1.85-1.88
Ga (0.4529, 0.1061, 0.2186)  4 O 1.85-1.88
Ga (0.0471, 0.8939, 0.7186)  4 O 1.85-1.88
Ga (0.6061, 0.2814, 0.5471)  4 O 1.85-1.88
Ga (0.5471, 0.6061, 0.2814)  4 O 1.85-1.88
Ga (0.3939, 0.7814, 0.9529)  4 O 1.85-1.88
Ga (0.8939, 0.7186, 0.0471)  4 O 1.85-1.88
Ga (0.9529, 0.3939, 0.7814)  4 O 1.85-1.88
Ga (0.7186, 0.0471, 0.8939)  4 O 1.85-1.88
Ga (0.7814, 0.9529, 0.3939)  4 O 1.85-1.88
Ga (0.2814, 0.5471, 0.6061)  4 O 1.85-1.88
Ga (0.7814, 0.5471, 0.8939)  4 O 1.85-1.88
Ga (0.8939, 0.7814, 0.5471)  4 O 1.85-1.88
Ga (0.5471, 0.8939, 0.7814)  4 O 1.85-1.88
Ga (0.9529, 0.1061, 0.2814)  4 O 1.85-1.88
Ga (0.3939, 0.7186, 0.4529)  4 O 1.85-1.88
Ga (0.4529, 0.3939, 0.7186)  4 O 1.85-1.88
Ga (0.6061, 0.2186, 0.0471)  4 O 1.85-1.88
Ga (0.1061, 0.2814, 0.9529)  4 O 1.85-1.88
Ga (0.0471, 0.6061, 0.2186)  4 O 1.85-1.88
Ga (0.2814, 0.9529, 0.1061)  4 O 1.85-1.88
Ga (0.2186, 0.0471, 0.6061)  4 O 1.85-1.88
Ga (0.7186, 0.4529, 0.3939)  4 O 1.85-1.88
Ga (0.0768, 0.0768, 0.0768)  4 O 1.82-1.88
Ga (0.4232, 0.9232, 0.5768)  4 O 1.82-1.88
Ga (0.5768, 0.4232, 0.9232)  4 O 1.82-1.88
Ga (0.9232, 0.5768, 0.4232)  4 O 1.82-1.88
Ga (0.9232, 0.9232, 0.9232)  4 O 1.82-1.88
Ga (0.5768, 0.0768, 0.4232)  4 O 1.82-1.88
Ga (0.4232, 0.5768, 0.0768)  4 O 1.82-1.88
Ga (0.0768, 0.4232, 0.5768)  4 O 1.82-1.88
Pb (0.2613, 0.9592, 0.3774)  3 O 2.30-2.41
Pb (0.3774, 0.2613, 0.9592)  3 O 2.30-2.41
Pb (0.9592, 0.3774, 0.2613)  3 O 2.30-2.41
Pb (0.5408, 0.6226, 0.7613)  3 O 2.30-2.41
Pb (0.8774, 0.2387, 0.0408)  3 O 2.30-2.41
Pb (0.0408, 0.8774, 0.2387)  3 O 2.30-2.41
Pb (0.1226, 0.7387, 0.4592)  3 O 2.30-2.41
Pb (0.6226, 0.7613, 0.5408)  3 O 2.30-2.41
Pb (0.4592, 0.1226, 0.7387)  3 O 2.30-2.41
Pb (0.7613, 0.5408, 0.6226)  3 O 2.30-2.41
Pb (0.7387, 0.4592, 0.1226)  3 O 2.30-2.41
Pb (0.2387, 0.0408, 0.8774)  3 O 2.30-2.41
Pb (0.7387, 0.0408, 0.6226)  3 O 2.30-2.41
Pb (0.6226, 0.7387, 0.0408)  3 O 2.30-2.41
Pb (0.0408, 0.6226, 0.7387)  3 O 2.30-2.41
Pb (0.4592, 0.3774, 0.2387)  3 O 2.30-2.41
Pb (0.1226, 0.7613, 0.9592)  3 O 2.30-2.41
Pb (0.9592, 0.1226, 0.7613)  3 O 2.30-2.41
Pb (0.8774, 0.2613, 0.5408)  3 O 2.30-2.41
Pb (0.3774, 0.2387, 0.4592)  3 O 2.30-2.41
Pb (0.5408, 0.8774, 0.2613)  3 O 2.30-2.41
Pb (0.2387, 0.4592, 0.3774)  3 O 2.30-2.41
Pb (0.2613, 0.5408, 0.8774)  3 O 2.30-2.41
Pb (0.7613, 0.9592, 0.1226)  3 O 2.30-2.41
Pb (0.5000, 0.5000, 0.5000)  8 O 2.57-2.76
Pb (0.0000, 0.5000, 0.0000)  8 O 2.57-2.76
Pb (0.0000, 0.0000, 0.5000)  8 O 2.57-2.76
Pb (0.5000, 0.0000, 0.0000)  8 O 2.57-2.76
Pb (0.2257, 0.2257, 0.2257)  3 O 2.29
Pb (0.2743, 0.7743, 0.7257)  3 O 2.29
Pb (0.7257, 0.2743, 0.7743)  3 O 2.29
Pb (0.7743, 0.7257, 0.2743)  3 O 2.29
Pb (0.7743, 0.7743, 0.7743)  3 O 2.29
Pb (0.7257, 0.2257, 0.2743)  3 O 2.29
Pb (0.2743, 0.7257, 0.2257)  3 O 2.29
Pb (0.2257, 0.2743, 0.7257)  3 O 2.29
O (0.0570, 0.0509, 0.2104)  2 Ga 1.88
O (0.2104, 0.0570, 0.0509)  2 Ga 1.88
O (0.0509, 0.2104, 0.0570)  2 Ga 1.88
O (0.4491, 0.7896, 0.5570)  2 Ga 1.88
O (0.7104, 0.4430, 0.9491)  2 Ga 1.88
O (0.9491, 0.7104, 0.4430)  2 Ga 1.88
O (0.2896, 0.9430, 0.5509)  2 Ga 1.88
O (0.7896, 0.5570, 0.4491)  2 Ga 1.88
O (0.5509, 0.2896, 0.9430)  2 Ga 1.88
O (0.5570, 0.4491, 0.7896)  2 Ga 1.88
O (0.9430, 0.5509, 0.2896)  2 Ga 1.88
O (0.4430, 0.9491, 0.7104)  2 Ga 1.88
O (0.9430, 0.9491, 0.7896)  2 Ga 1.88
O (0.7896, 0.9430, 0.9491)  2 Ga 1.88
O (0.9491, 0.7896, 0.9430)  2 Ga 1.88
O (0.5509, 0.2104, 0.4430)  2 Ga 1.88
O (0.2896, 0.5570, 0.0509)  2 Ga 1.88
O (0.0509, 0.2896, 0.5570)  2 Ga 1.88
O (0.7104, 0.0570, 0.4491)  2 Ga 1.88
O (0.2104, 0.4430, 0.5509)  2 Ga 1.88
O (0.4491, 0.7104, 0.0570)  2 Ga 1.88
O (0.4430, 0.5509, 0.2104)  2 Ga 1.88
O (0.0570, 0.4491, 0.7104)  2 Ga 1.88
O (0.5570, 0.0509, 0.2896)  2 Ga 1.88
O (0.7074, 0.6258, 0.8123)  1 Ga 1.85
O (0.8123, 0.7074, 0.6258)  1 Ga 1.85
O (0.6258, 0.8123, 0.7074)  1 Ga 1.85
O (0.8742, 0.1877, 0.2074)  1 Ga 1.85
O (0.3123, 0.7926, 0.3742)  1 Ga 1.85
O (0.3742, 0.3123, 0.7926)  1 Ga 1.85
O (0.6877, 0.2926, 0.1258)  1 Ga 1.85
O (0.1877, 0.2074, 0.8742)  1 Ga 1.85
O (0.1258, 0.6877, 0.2926)  1 Ga 1.85
O (0.2074, 0.8742, 0.1877)  1 Ga 1.85
O (0.2926, 0.1258, 0.6877)  1 Ga 1.85
O (0.7926, 0.3742, 0.3123)  1 Ga 1.85
O (0.2926, 0.3742, 0.1877)  1 Ga 1.85
O (0.1877, 0.2926, 0.3742)  1 Ga 1.85
O (0.3742, 0.1877, 0.2926)  1 Ga 1.85
O (0.1258, 0.8123, 0.7926)  1 Ga 1.85
O (0.6877, 0.2074, 0.6258)  1 Ga 1.85
O (0.6258, 0.6877, 0.2074)  1 Ga 1.85
O (0.3123, 0.7074, 0.8742)  1 Ga 1.85
O (0.8123, 0.7926, 0.1258)  1 Ga 1.85
O (0.8742, 0.3123, 0.7074)  1 Ga 1.85
O (0.7926, 0.1258, 0.8123)  1 Ga 1.85
O (0.7074, 0.8742, 0.3123)  1 Ga 1.85
O (0.2074, 0.6258, 0.6877)  1 Ga 1.85
O (0.0000, 0.0000, 0.0000)  2 Ga 1.82
O (0.5000, 0.0000, 0.5000)  2 Ga 1.82
O (0.5000, 0.5000, 0.0000)  2 Ga 1.82
O (0.0000, 0.5000, 0.5000)  2 Ga 1.82
O (0.3946, 0.5087, 0.6718)  2 Ga 1.87
O (0.6718, 0.3946, 0.5087)  2 Ga 1.87
O (0.5087, 0.6718, 0.3946)  2 Ga 1.87
O (0.9913, 0.3282, 0.8946)  2 Ga 1.87
O (0.1718, 0.1054, 0.4913)  2 Ga 1.87
O (0.4913, 0.1718, 0.1054)  2 Ga 1.87
O (0.8282, 0.6054, 0.0087)  2 Ga 1.87
O (0.3282, 0.8946, 0.9913)  2 Ga 1.87
O (0.0087, 0.8282, 0.6054)  2 Ga 1.87
O (0.8946, 0.9913, 0.3282)  2 Ga 1.87
O (0.6054, 0.0087, 0.8282)  2 Ga 1.87
O (0.1054, 0.4913, 0.1718)  2 Ga 1.87
O (0.6054, 0.4913, 0.3282)  2 Ga 1.87
O (0.3282, 0.6054, 0.4913)  2 Ga 1.87
O (0.4913, 0.3282, 0.6054)  2 Ga 1.87
O (0.0087, 0.6718, 0.1054)  2 Ga 1.87
O (0.8282, 0.8946, 0.5087)  2 Ga 1.87
O (0.5087, 0.8282, 0.8946)  2 Ga 1.87
O (0.1718, 0.3946, 0.9913)  2 Ga 1.87
O (0.6718, 0.1054, 0.0087)  2 Ga 1.87
O (0.9913, 0.1718, 0.3946)  2 Ga 1.87
O (0.1054, 0.0087, 0.6718)  2 Ga 1.87
O (0.3946, 0.9913, 0.1718)  2 Ga 1.87
O (0.8946, 0.5087, 0.8282)  2 Ga 1.87
O (0.3917, 0.3917, 0.3917)  4 Pb 2.30-2.57
O (0.1083, 0.6083, 0.8917)  4 Pb 2.30-2.57
O (0.8917, 0.1083, 0.6083)  4 Pb 2.30-2.57
O (0.6083, 0.8917, 0.1083)  4 Pb 2.30-2.57
O (0.6083, 0.6083, 0.6083)  4 Pb 2.30-2.57
O (0.8917, 0.3917, 0.1083)  4 Pb 2.30-2.57
O (0.1083, 0.8917, 0.3917)  4 Pb 2.30-2.57
O (0.3917, 0.1083, 0.8917)  4 Pb 2.30-2.57


# 2
The following is a GGA-PBE calculation of Ga2PbO4 after structural relaxation, from Materials Project.

Values from the calculation:
As for the energy: -5.900 eV/atom. For the energy of formation, the calculation gives -14.48 eV/f.u. The energy with MP2020 corrections is -88.089 eV for the cell shown.

a b c (Å): 5.4525 5.4525 8.7201
angles (deg): 89.99 89.99 121.38
Last column: nearest neighbours and their distance in Å.
Element x y z (fractional)
Ga (0.7093, 0.3600, 0.0585)  4 O 1.85-1.88
Ga (0.7043, 0.3672, 0.4540)  4 O 1.84-1.88
Ga (0.3672, 0.7043, 0.9540)  4 O 1.84-1.88
Ga (0.3600, 0.7093, 0.5585)  4 O 1.85-1.88
Pb (0.0275, 0.9683, 0.2565)  3 O 2.31-2.47
Pb (0.9683, 0.0275, 0.7565)  3 O 2.31-2.47
O (0.6756, 0.6685, 0.0010)  2 Ga 1.84-1.85
O (0.0078, 0.3690, 0.9475)  2 Ga 1.86-1.87
O (0.3690, 0.0078, 0.4475)  2 Ga 1.86-1.87
O (0.6685, 0.6756, 0.5010)  2 Ga 1.84-1.85
O (0.0015, 0.3766, 0.5647)  2 Ga 1.85-1.86
O (0.8632, 0.4831, 0.2565)  2 Ga 1.88
O (0.4831, 0.8632, 0.7565)  2 Ga 1.88
O (0.3766, 0.0015, 0.0647)  2 Ga 1.85-1.86


# 3
The following is a GGA-PBE calculation of GaSb3Pb4O13 after structural relaxation, from Materials Project.

Values from the calculation:
As for the energy: -5.929 eV/atom. For the energy of formation, the calculation gives -38.85 eV/f.u. The energy with MP2020 corrections is -133.444 eV for the cell shown.

a b c (Å): 7.4709 7.4709 7.4709
angles (deg): 60.60 60.60 60.60
Last column: nearest neighbours and their distance in Å.
Element x y z (fractional)
Ga (0.4994, 0.4994, 0.4994)  6 O 2.04-2.06
Sb (0.0010, 0.4998, 0.4998)  6 O 1.98-2.04
Sb (0.4998, 0.4998, 0.0010)  6 O 1.98-2.04
Sb (0.4998, 0.0010, 0.4998)  6 O 1.98-2.04
Pb (0.9984, 0.9984, 0.9984)  1 O 2.29
Pb (0.5052, 0.9984, 0.9984)  1 O 2.34
Pb (0.9984, 0.9984, 0.5052)  1 O 2.34
Pb (0.9984, 0.5052, 0.9984)  1 O 2.34
O (0.8261, 0.4271, 0.4271)  1 Sb 1.99, 1 Ga 2.06
O (0.4257, 0.8233, 0.8233)  2 Sb 2.04
O (0.4271, 0.4271, 0.8261)  1 Sb 1.99, 1 Ga 2.06
O (0.8233, 0.8233, 0.4257)  2 Sb 2.04
O (0.8233, 0.4257, 0.8233)  2 Sb 2.04
O (0.4271, 0.8261, 0.4271)  1 Sb 1.99, 1 Ga 2.06
O (0.1765, 0.5707, 0.5707)  1 Sb 1.98, 1 Ga 2.04
O (0.5723, 0.1788, 0.1788)  2 Sb 2.03
O (0.5707, 0.5707, 0.1765)  1 Sb 1.98, 1 Ga 2.04
O (0.1788, 0.1788, 0.5723)  2 Sb 2.03
O (0.1788, 0.5723, 0.1788)  2 Sb 2.03
O (0.5707, 0.1765, 0.5707)  1 Sb 1.98, 1 Ga 2.04
O (0.1243, 0.1243, 0.1243)  4 Pb 2.29-2.34


Question: Among the records above, which one has the lowest energy of formation?
Answer: Ga8Pb9O21